*P*
Compound: Ba3Mn2N4
Source: Materials Project
Functional: GGA-PBE
Structure: optimized geometry

abc: 12.468 8.917 5.702
angles: 90.00 92.74 90.00
Space group C2/c (No. 15)
Asymmetric unit:
Ba (0.000, 0.096, 0.250) (multiplicity 4)
Ba (0.129, 0.367, 0.557) (multiplicity 8)
Mn (0.214, 0.125, 0.938) (multiplicity 8)
N (0.144, 0.303, 0.038) (multiplicity 8)
N (0.190, 0.039, 0.638) (multiplicity 8)

Output
total moment = 7.517 Bohr magnetons per cell
theoretical density = 6.1 g/cm³



*Q*
Compound: Ba3Mn2N4
Source: Materials Project
Functional: GGA-PBE
Structure: optimized geometry

abc: 6.254 9.924 10.131
angles: 90.00 90.00 90.00
Space group Pnna (No. 52)
Asymmetric unit:
Ba (0.120, 0.156, 0.084) (multiplicity 8)
Ba (0.250, 0.000, 0.405) (multiplicity 4)
Mn (0.173, 0.250, 0.750) (multiplicity 4)
Mn (0.250, 0.000, 0.737) (multiplicity 4)
N (0.038, 0.095, 0.827) (multiplicity 8)
N (0.142, 0.645, 0.858) (multiplicity 8)

Output
total moment = 5.417 Bohr magnetons per cell
theoretical density = 6.1 g/cm³



Going by the energies, *Q* is most stable and the next is 81 meV/atom up.



*P*
Compound: Ba3Mo2N4
Source: Materials Project
Functional: GGA-PBE
Structure: optimized geometry

abc: 12.695 9.413 5.878
angles: 90.00 92.77 90.00
Space group C2/c (No. 15)
Asymmetric unit:
Ba (0.000, 0.099, 0.250) (multiplicity 4)
Ba (0.122, 0.372, 0.535) (multiplicity 8)
Mo (0.206, 0.125, 0.913) (multiplicity 8)
N (0.142, 0.311, 0.035) (multiplicity 8)
N (0.181, 0.042, 0.604) (multiplicity 8)

Output
total moment = 0.017 Bohr magnetons per cell
theoretical density = 6.2 g/cm³



*Q*
Compound: Ba3Mo2N4
Source: Materials Project
Functional: GGA-PBE
Structure: optimized geometry

abc: 6.277 10.850 10.361
angles: 90.00 90.00 90.00
Space group Pnna (No. 52)
Asymmetric unit:
Ba (0.125, 0.159, 0.081) (multiplicity 8)
Ba (0.250, 0.000, 0.402) (multiplicity 4)
Mo (0.151, 0.250, 0.750) (multiplicity 4)
Mo (0.250, 0.000, 0.737) (multiplicity 4)
N (0.027, 0.088, 0.832) (multiplicity 8)
N (0.156, 0.649, 0.864) (multiplicity 8)

Output
total moment = 0.000 Bohr magnetons per cell
theoretical density = 6.2 g/cm³



Going by the energies, *Q* is most stable and the next is 137 meV/atom up.